! P2O5 PBE optimized geometry; values from VASP
! **Space group**: P1 (1)
! **ΔE to the lowest computed polymorph**: 803 meV per atom
&SYSTEM
  ibrav = 0, nat = 105, ntyp = 2
/
ATOMIC_SPECIES
O 16.00 O.upf
P 30.97 P.upf
CELL_PARAMETERS angstrom
11.165 -0.029 1.275
-0.088 12.910 0.568
1.357 0.563 13.178
ATOMIC_POSITIONS angstrom
O 7.988 8.584 5.270
O 2.803 5.348 9.147
O 10.615 1.990 6.779
O 10.856 12.899 8.965
O 1.791 10.328 0.758
O 3.795 1.809 10.356
O 7.686 13.054 14.227
O 8.666 8.581 11.794
O 5.292 9.792 9.796
O 5.969 4.136 12.542
O 3.319 12.128 10.483
O 10.129 9.057 9.005
O 10.660 12.530 11.423
O 8.881 1.040 9.649
O 0.974 3.110 1.084
O 5.960 1.558 4.003
O 6.319 10.092 6.642
O 4.057 5.046 4.275
O 9.735 3.580 13.762
O 0.720 7.626 7.554
O 6.155 2.673 10.458
O 8.069 3.886 3.173
O 3.781 9.063 11.225
O 1.542 0.986 10.477
O 4.531 0.625 2.023
O 1.910 12.610 2.061
O 11.113 8.202 11.275
O 6.042 7.507 6.611
O 11.396 9.007 6.750
O 5.479 4.303 2.658
O 8.403 11.196 3.363
O 10.009 4.067 11.194
O 6.232 6.557 3.801
O 8.092 2.622 12.040
O 3.543 0.385 4.370
O 5.012 5.252 10.492
O 8.814 4.838 5.388
O 10.069 1.379 2.276
O 7.004 7.307 9.014
O 0.428 8.220 3.058
O 9.686 6.345 12.224
O 5.331 9.072 4.841
O 0.580 7.494 0.539
O 6.241 4.423 5.255
O 2.686 7.297 2.273
O 1.341 9.944 8.703
O 10.361 3.197 4.210
O 5.234 12.365 13.995
O 5.525 6.724 12.599
O 4.177 9.190 10.011
O 1.488 3.891 11.733
O 2.242 9.867 4.008
O 11.070 12.583 13.958
O 9.735 7.083 7.125
O 5.063 5.860 8.047
O 5.892 1.742 12.784
O 10.377 8.321 13.732
O 5.206 11.628 4.818
O 3.661 2.580 3.309
O 7.748 5.167 11.033
O 10.148 5.561 3.318
O 0.687 1.267 2.858
O 7.632 2.970 6.819
O 5.501 1.100 8.490
O 3.146 13.281 12.827
O 10.422 1.797 11.960
O 7.408 5.468 7.264
O 3.677 4.982 12.636
O 3.714 10.331 6.553
O 10.862 11.767 3.842
O 9.252 12.315 5.698
O 4.608 3.525 8.726
O 1.754 1.593 6.836
O 8.120 11.033 11.270
O 9.819 6.115 9.691
P 9.958 7.880 12.414
P 6.624 8.768 5.748
P 2.393 4.167 12.831
P 5.668 5.224 3.982
P 7.557 4.266 6.166
P 4.947 10.452 5.750
P 1.054 9.059 4.216
P 2.920 13.308 11.230
P 9.663 12.759 10.110
P 9.662 3.115 12.393
P 9.224 4.521 3.819
P 0.953 12.543 3.417
P 1.358 7.627 1.756
P 6.514 6.622 7.825
P 11.542 1.310 7.695
P 5.048 0.003 0.734
P 3.813 4.132 2.867
P 6.602 2.815 11.930
P 10.844 2.107 3.275
P 9.187 5.504 10.872
P 5.184 5.443 12.024
P 11.119 13.326 12.711
P 4.570 1.246 3.665
P 2.278 11.705 0.822
P 11.544 8.829 9.925
P 7.547 9.793 11.848
P 9.318 11.790 4.325
P 5.030 2.134 9.378
P 10.562 7.914 7.967
P 4.224 5.049 9.078

---

! P2O5 PBE optimized geometry; values from VASP
! **Space group**: Pnma (62)
! **ΔE to the lowest computed polymorph**: 5 meV per atom
&SYSTEM
  ibrav = 0, nat = 28, ntyp = 2
/
ATOMIC_SPECIES
P 30.97 P.upf
O 16.00 O.upf
CELL_PARAMETERS angstrom
4.940 0.000 0.000
0.000 7.387 0.000
0.000 0.000 9.650
ATOMIC_POSITIONS angstrom
P 1.235 5.813 7.234
P 1.235 5.268 2.409
P 3.705 2.119 7.241
P 3.705 6.273 1.018
P 1.235 1.114 8.632
P 3.705 4.807 5.843
P 3.705 1.574 2.416
P 1.235 2.580 3.807
O 2.464 2.041 8.240
O 3.705 1.197 6.117
O 3.705 6.681 9.265
O 4.934 5.734 6.236
O 1.235 6.190 3.533
O 2.464 1.653 3.414
O 0.006 1.653 3.414
O 3.705 0.000 2.152
O 1.235 7.387 7.498
O 2.476 5.346 1.411
O 1.235 2.987 5.211
O 0.006 2.041 8.240
O 4.934 5.346 1.411
O 1.235 4.890 8.359
O 3.705 3.693 6.977
O 3.705 4.400 4.439
O 1.235 3.694 2.673
O 1.235 0.706 0.386
O 2.476 5.734 6.236
O 3.705 2.497 1.292

---

! P4O7 PBE optimized geometry; values from VASP
! **Space group**: P2_1/c (14)
&SYSTEM
  ibrav = 0, nat = 44, ntyp = 2
/
ATOMIC_SPECIES
O 16.00 O.upf
P 30.97 P.upf
CELL_PARAMETERS angstrom
-7.594 -7.287 1.859
4.764 -4.282 2.676
2.149 0.705 11.546
ATOMIC_POSITIONS angstrom
O 0.717 -7.051 8.661
O 0.559 -2.944 2.674
O 0.737 -6.348 11.147
O -2.157 -9.146 9.223
O -4.702 -5.143 5.309
O -1.241 -7.920 13.407
O -1.428 -9.465 4.759
O 0.044 -8.731 10.434
O -3.568 -9.800 6.165
O -3.440 -7.986 4.325
O -1.526 -3.921 1.556
O 4.020 -5.721 10.772
O 3.295 -5.739 4.914
O 0.795 -4.084 6.200
O -1.351 -9.714 15.203
O 0.785 -3.406 8.654
O -1.476 -6.780 9.881
O 0.747 -1.399 11.322
O 0.670 -1.150 0.877
O -1.418 -4.517 4.933
O -1.398 -3.813 7.419
O 1.476 -1.718 6.857
O -1.466 -7.459 7.426
O 0.845 -6.943 14.524
O -3.976 -5.125 11.167
O 2.887 -1.065 9.915
O -0.725 -2.133 5.646
O 2.759 -2.878 11.755
P -2.929 -7.355 2.830
P -0.746 -3.713 5.953
P 0.130 -7.908 7.320
P -0.812 -2.957 8.760
P -3.035 -9.447 4.850
P -2.462 -7.586 8.752
P 2.354 -1.418 11.230
P 2.248 -3.509 13.251
P -0.678 -9.868 9.398
P 0.166 -1.340 2.485
P 0.064 -7.151 10.127
P -0.003 -0.996 6.683
P -2.255 -2.478 1.198
P -0.847 -9.524 13.595
P 1.781 -3.279 7.329
P 1.574 -8.386 14.883

---

! P2O9 PBE optimized geometry; values from VASP
! **Space group**: P2_1/c (14)
! **ΔE to the lowest computed polymorph**: 0 meV per atom
&SYSTEM
  ibrav = 0, nat = 44, ntyp = 2
/
ATOMIC_SPECIES
O 16.00 O.upf
P 30.97 P.upf
CELL_PARAMETERS angstrom
13.579 0.000 0.000
0.000 7.878 0.000
0.000 2.999 7.870
ATOMIC_POSITIONS angstrom
O 12.596 3.268 4.319
O 13.480 1.686 0.423
O 1.886 2.050 5.009
O 4.903 0.551 1.074
O 3.484 8.373 7.186
O 1.736 6.049 7.236
O 11.840 5.557 3.395
O 5.350 7.122 5.997
O 5.050 3.820 0.541
O 11.693 8.827 2.861
O 9.071 8.543 3.548
O 5.806 9.109 7.486
O 11.297 10.042 7.483
O 8.229 3.755 1.873
O 0.099 9.191 7.447
O 3.306 6.874 3.251
O 8.412 6.626 2.062
O 1.623 2.752 1.873
O 10.273 4.003 4.619
O 4.508 2.334 4.322
O 0.983 7.609 3.551
O 7.773 1.768 0.384
O 10.095 2.504 0.684
O 1.739 5.320 4.476
O 11.843 4.828 0.634
O 5.054 4.549 3.301
O 6.690 7.692 3.512
O 2.282 0.835 0.387
O 12.140 5.255 5.808
O 5.167 4.251 5.808
O 1.439 5.622 2.062
O 8.528 7.057 7.330
O 8.525 6.328 4.569
O 8.676 10.326 6.796
O 11.956 8.125 5.997
O 6.889 3.185 4.358
P 8.176 7.297 3.426
P 8.644 3.018 0.585
P 1.854 6.359 3.350
P 5.403 3.580 4.444
P 4.935 7.859 7.285
P 11.725 4.518 4.520
P 12.192 8.796 7.361
P 1.386 2.081 0.509

---

! P2O5 PBE optimized geometry; values from VASP
! **Space group**: P1 (1)
! **ΔE to the lowest computed polymorph**: 733 meV per atom
&SYSTEM
  ibrav = 0, nat = 28, ntyp = 2
/
ATOMIC_SPECIES
O 16.00 O.upf
P 30.97 P.upf
CELL_PARAMETERS angstrom
8.185 0.000 0.000
0.278 8.217 0.000
0.003 0.061 8.471
ATOMIC_POSITIONS angstrom
O 5.711 3.721 5.742
O 2.497 4.656 2.861
O 1.567 1.549 8.314
O 2.156 7.285 7.484
O 3.637 3.361 7.240
O 7.653 7.653 3.022
O 7.434 2.142 7.500
O 6.039 3.246 3.179
O 4.711 3.430 2.404
O 7.414 0.475 6.587
O 0.757 6.507 7.323
O 6.540 6.404 6.856
O 7.868 1.493 1.553
O 2.426 2.208 2.568
O 3.842 5.421 5.712
O 3.349 6.293 3.366
O 3.543 3.097 4.685
O 1.475 7.691 1.394
O 7.284 7.611 0.471
O 5.764 5.604 4.030
P 0.202 2.235 0.200
P 4.138 3.853 5.972
P 6.552 4.196 4.400
P 8.150 8.097 1.726
P 2.516 8.213 0.222
P 4.398 6.330 4.472
P 7.564 7.358 7.354
P 3.246 3.321 3.109

---

! P2O5 PBE optimized geometry; values from VASP
! **Piezoelectric modulus e_max**: 0.06 C/m2
! **Space group**: R3c (161)
! **ΔE to the lowest computed polymorph**: 10 meV per atom
&SYSTEM
  ibrav = 0, nat = 28, ntyp = 2
/
ATOMIC_SPECIES
P 30.97 P.upf
O 16.00 O.upf
CELL_PARAMETERS angstrom
5.589 -5.376 0.000
5.589 5.376 0.000
0.417 0.000 7.743
ATOMIC_POSITIONS angstrom
P 5.525 -0.944 5.300
P 7.095 -0.688 2.950
P 5.978 3.744 0.438
P 10.141 0.000 6.773
P 6.186 1.632 4.310
P 5.316 -4.432 1.429
P 1.715 0.688 6.822
P 4.344 0.000 2.901
O 1.917 -0.838 7.314
O 5.877 -4.781 6.054
O 5.694 4.764 1.659
O 4.271 -0.857 4.274
O 5.052 3.924 7.289
O 5.119 -3.659 2.637
O 9.651 0.857 0.403
O 8.935 0.000 5.968
O 8.198 -1.266 2.211
O 6.337 2.392 0.813
O 2.817 1.266 6.083
O 6.708 -1.450 4.323
O 6.545 2.984 4.685
O 3.138 0.000 2.096
O 7.297 0.838 3.442
O 6.500 -3.926 0.452
O 5.327 -1.717 6.509
O 4.844 1.453 3.417
O 5.902 0.612 5.531
O 5.668 -0.595 2.182

---

! P2Pb8O13 PBE optimized geometry; values from VASP
! **Space group**: C2/m (12)
&SYSTEM
  ibrav = 0, nat = 46, ntyp = 3
/
ATOMIC_SPECIES
Pb 207.20 Pb.upf
O 16.00 O.upf
P 30.97 P.upf
CELL_PARAMETERS angstrom
5.239 5.456 0.000
-5.239 5.456 0.000
0.000 2.092 14.541
ATOMIC_POSITIONS angstrom
Pb 0.000 9.087 7.459
Pb 0.000 1.425 4.441
Pb 2.732 6.581 1.372
Pb -2.466 4.002 4.311
Pb 0.000 3.873 1.684
Pb -2.732 6.424 13.169
Pb 0.000 9.132 12.857
Pb 2.466 9.003 10.229
Pb -2.466 9.003 10.229
Pb 2.466 4.002 4.311
Pb 0.000 3.918 7.081
Pb 0.000 6.217 10.405
Pb -2.732 6.581 1.372
Pb 0.000 11.580 10.099
Pb 2.732 6.424 13.169
Pb 0.000 6.788 4.136
O 3.959 8.341 12.554
O -1.484 2.461 2.837
O -1.482 7.464 11.530
O -1.678 7.416 8.166
O 0.000 11.395 14.441
O 3.474 5.603 8.191
O -1.482 5.540 3.011
O 1.482 7.464 11.530
O 0.000 7.938 2.031
O 0.000 3.681 4.897
O -3.474 5.603 8.191
O 0.000 1.610 0.099
O 0.000 9.324 9.644
O 1.482 5.540 3.011
O -1.484 10.544 11.704
O 1.484 2.461 2.837
O 1.678 5.589 6.375
O -3.959 8.341 12.554
O 1.678 7.416 8.166
O 3.959 4.664 1.986
O -3.474 7.402 6.350
O -1.678 5.589 6.375
O 3.474 7.402 6.350
O -3.959 4.664 1.986
O 0.000 5.067 12.509
O 1.484 10.544 11.704
P 2.593 6.502 7.270
P -2.593 6.502 7.270
P 0.000 3.617 13.089
P 0.000 9.388 1.452

---

! P2PbO7 PBE optimized geometry; values from VASP
! **Space group**: P-1 (2)
! **ΔE to the lowest computed polymorph**: 255 meV per atom
&SYSTEM
  ibrav = 0, nat = 40, ntyp = 3
/
ATOMIC_SPECIES
O 16.00 O.upf
P 30.97 P.upf
Pb 207.20 Pb.upf
CELL_PARAMETERS angstrom
7.481 0.000 0.000
2.333 7.904 0.000
1.688 1.723 9.860
ATOMIC_POSITIONS angstrom
O 6.678 7.241 5.977
O 9.260 6.453 8.991
O 3.397 3.903 5.302
O 5.977 1.377 1.917
O 9.333 6.429 0.009
O 6.866 6.802 0.356
O 2.242 3.174 0.869
O 4.971 4.338 0.489
O 4.637 2.825 9.504
O 8.650 3.041 3.164
O 7.976 4.867 1.560
O 2.170 3.197 9.851
O 2.853 6.585 6.696
O 7.692 1.932 7.502
O 4.825 2.386 3.883
O 8.106 5.724 4.558
O 4.437 1.810 6.342
O 5.563 5.930 4.078
O 6.922 0.968 4.312
O 7.066 7.816 3.518
O 5.940 3.697 5.782
O 5.526 8.250 7.943
O 8.616 4.705 7.374
O 4.580 8.659 5.548
O 2.886 4.922 2.486
O 3.811 7.694 2.358
O 6.532 5.288 9.371
O 3.527 4.759 8.300
P 1.743 4.000 2.169
P 9.760 5.626 7.691
P 3.503 3.836 9.612
P 5.743 1.155 3.383
P 5.759 8.471 6.477
P 7.999 5.791 0.248
P 4.648 3.066 5.344
P 6.855 6.560 4.517
Pb 3.278 6.580 4.310
Pb 7.265 2.804 9.495
Pb 8.224 3.047 5.550
Pb 4.237 6.822 0.365

---

Across the entries above, volume takes the values 17.84, 12.58, 17.55, 19.13, 20.35, 16.62, 18.07, 14.58 A^3/atom, respectively.
Across the entries above, formation enthalpy at 0 K takes the values -157.83, -234.81, -205.66, -97.94, -164.62, -234.31, -188.73, -171.83 kJ/mol of atoms, respectively.